The following is a PBE-GGA calculation of an optimized crystal structure of Sn2As2H22C7Cl2O4, from the Materials Project database.

Computed properties:
E (MP2020) ... -4.6158 eV/atom
Symmetry ... No. 1
Spin magnetization ... 2.0 μB per cell

Unit cell a=7.844 b=8.265 c=8.283 alpha=88.09 beta=72.72 gamma=80.54
Atoms (fractional coordinates):
Sn 0.000 0.000 0.000
Sn 0.157 0.606 0.937
As 0.386 0.937 0.764
As 0.911 0.538 0.363
H 0.172 0.864 0.485
H 0.245 0.819 0.253
H 0.264 0.163 0.400
H 0.286 0.178 0.993
H 0.318 0.414 0.297
H 0.423 0.869 0.930
H 0.468 0.382 0.868
H 0.509 0.550 0.974
H 0.512 0.564 0.756
H 0.570 0.380 0.310
H 0.593 0.691 0.526
H 0.630 0.958 0.085
H 0.642 0.095 0.540
H 0.658 0.155 0.974
H 0.661 0.752 0.309
H 0.772 0.691 0.816
H 0.773 0.781 0.828
H 0.865 0.429 0.522
H 0.942 0.110 0.647
H 0.951 0.198 0.625
H 0.973 0.441 0.744
H 0.979 0.658 0.460
C 0.230 0.906 0.355
C 0.241 0.147 0.884
C 0.271 0.054 0.327
C 0.448 0.516 0.881
C 0.662 0.649 0.396
C 0.721 0.035 0.007
C 0.985 0.425 0.874
Cl 0.455 0.516 0.339
Cl 0.712 0.137 0.385
O 0.031 0.782 0.117
O 0.185 0.834 0.781
O 0.208 0.266 0.782
O 0.876 0.361 0.987